[1]
An optimized crystal structure of Fe3Si2O8, computed with GGA+U.

## Properties
**V**: 297.0 Å³/cell
**E above lowest polymorph**: 0 meV per atom
**DFT formation energy**: -2.35 eV/atom
**E (MP2020)**: -0.602 Ry per atom

Cell lengths 4.891, 5.885, 10.322 Å; angles 88.91, 90.00, 90.00 degrees
Element x y z (fractional)
O (0.197, 0.544, 0.820)
O (0.697, 0.456, 0.680)
O (0.725, 0.031, 0.670)
O (0.774, 0.765, 0.392)
O (0.274, 0.235, 0.108)
O (0.803, 0.456, 0.180)
O (0.303, 0.544, 0.320)
O (0.225, 0.969, 0.830)
O (0.726, 0.765, 0.892)
O (0.333, 0.760, 0.554)
O (0.775, 0.031, 0.170)
O (0.275, 0.969, 0.330)
O (0.167, 0.760, 0.054)
O (0.667, 0.240, 0.446)
O (0.226, 0.235, 0.608)
O (0.833, 0.240, 0.946)
Fe (0.995, 0.740, 0.227)
Fe (0.495, 0.260, 0.273)
Fe (0.500, 0.000, 0.000)
Fe (0.005, 0.260, 0.773)
Fe (0.000, 0.000, 0.500)
Fe (0.505, 0.740, 0.727)
Si (0.057, 0.751, 0.904)
Si (0.943, 0.249, 0.096)
Si (0.557, 0.249, 0.596)
Si (0.443, 0.751, 0.404)

=====

[2]
An optimized crystal structure of V2Pb3O8, computed with GGA+U.

## Properties
**V**: 197.8 Å³/cell
**E above lowest polymorph**: 33 meV per atom
**DFT formation energy**: -2.03 eV/atom
**E (MP2020)**: -0.539 Ry per atom

Cell lengths 7.546, 7.546, 7.546 Å; angles 45.31, 45.31, 45.31 degrees
Element x y z (fractional)
Pb (0.000, 0.000, 0.000)
Pb (0.201, 0.201, 0.201)
Pb (0.799, 0.799, 0.799)
V (0.404, 0.404, 0.404)
V (0.596, 0.596, 0.596)
O (0.320, 0.320, 0.320)
O (0.680, 0.680, 0.680)
O (0.732, 0.238, 0.732)
O (0.268, 0.762, 0.268)
O (0.268, 0.268, 0.762)
O (0.762, 0.268, 0.268)
O (0.238, 0.732, 0.732)
O (0.732, 0.732, 0.238)

=====

[3]
An optimized crystal structure of Li2TiCr3O8, computed with GGA+U.

## Properties
**V**: 594.2 Å³/cell
**E above lowest polymorph**: 1 meV per atom
**DFT formation energy**: -2.57 eV/atom
**E (MP2020)**: -0.610 Ry per atom

Cell lengths 8.419, 8.419, 8.383 Å; angles 90.00, 90.00, 90.52 degrees
Element x y z (fractional)
O (0.887, 0.139, 0.985)
O (0.889, 0.362, 0.758)
O (0.111, 0.638, 0.258)
O (0.861, 0.890, 0.743)
O (0.608, 0.137, 0.262)
O (0.885, 0.636, 0.481)
O (0.363, 0.607, 0.509)
O (0.137, 0.608, 0.738)
O (0.607, 0.363, 0.491)
O (0.622, 0.862, 0.981)
O (0.139, 0.110, 0.243)
O (0.380, 0.361, 0.262)
O (0.378, 0.138, 0.481)
O (0.392, 0.863, 0.762)
O (0.139, 0.887, 0.015)
O (0.863, 0.392, 0.238)
O (0.110, 0.139, 0.757)
O (0.636, 0.885, 0.519)
O (0.115, 0.364, 0.981)
O (0.890, 0.861, 0.257)
O (0.393, 0.637, 0.991)
O (0.639, 0.620, 0.238)
O (0.362, 0.889, 0.242)
O (0.862, 0.622, 0.019)
O (0.638, 0.111, 0.742)
O (0.138, 0.378, 0.519)
O (0.113, 0.861, 0.485)
O (0.364, 0.115, 0.019)
O (0.637, 0.393, 0.009)
O (0.620, 0.639, 0.762)
O (0.861, 0.113, 0.515)
O (0.361, 0.380, 0.738)
Cr (0.376, 0.624, 0.750)
Cr (0.877, 0.379, 0.998)
Cr (0.124, 0.375, 0.750)
Cr (0.127, 0.127, 0.000)
Cr (0.123, 0.621, 0.498)
Cr (0.873, 0.873, 0.500)
Cr (0.624, 0.376, 0.250)
Cr (0.876, 0.625, 0.250)
Cr (0.375, 0.124, 0.250)
Cr (0.621, 0.123, 0.502)
Cr (0.625, 0.876, 0.750)
Cr (0.379, 0.877, 0.002)
Li (0.996, 0.250, 0.375)
Li (0.498, 0.247, 0.880)
Li (0.753, 0.502, 0.620)
Li (0.250, 0.996, 0.625)
Li (0.750, 0.004, 0.125)
Li (0.502, 0.753, 0.380)
Li (0.247, 0.498, 0.120)
Li (0.004, 0.750, 0.875)
Ti (0.124, 0.876, 0.250)
Ti (0.623, 0.623, 0.000)
Ti (0.377, 0.377, 0.500)
Ti (0.876, 0.124, 0.750)

=====

[4]
An optimized crystal structure of LiFe2OF3, computed with GGA+U.

## Properties
**V**: 337.9 Å³/cell
**E above lowest polymorph**: 56 meV per atom
**DFT formation energy**: -2.35 eV/atom
**E (MP2020)**: -0.483 Ry per atom

Cell lengths 6.220, 6.220, 8.734 Å; angles 90.00, 90.00, 90.00 degrees
Element x y z (fractional)
F (0.744, 0.479, 0.994)
F (0.507, 0.258, 0.751)
F (0.256, 0.521, 0.494)
F (0.000, 0.735, 0.743)
F (0.265, 0.000, 0.493)
F (0.000, 0.265, 0.243)
F (0.493, 0.742, 0.251)
F (0.479, 0.256, 0.244)
F (0.742, 0.507, 0.501)
F (0.258, 0.493, 0.001)
F (0.521, 0.744, 0.744)
F (0.735, 0.000, 0.993)
O (0.045, 0.752, 0.254)
O (0.248, 0.045, 0.004)
O (0.955, 0.248, 0.754)
O (0.752, 0.955, 0.504)
Li (0.257, 0.509, 0.249)
Li (0.491, 0.257, 0.999)
Li (0.509, 0.743, 0.499)
Li (0.743, 0.491, 0.749)
Fe (0.002, 0.248, 0.988)
Fe (0.219, 0.261, 0.646)
Fe (0.261, 0.781, 0.896)
Fe (0.739, 0.219, 0.396)
Fe (0.752, 0.002, 0.738)
Fe (0.781, 0.739, 0.146)
Fe (0.998, 0.752, 0.488)
Fe (0.248, 0.998, 0.238)

=====

[5]
An optimized crystal structure of LiMnF4, computed with GGA+U.

## Properties
**V**: 326.4 Å³/cell
**DFT formation energy**: -2.87 eV/atom
**E (MP2020)**: -0.440 Ry per atom

Cell lengths 5.298, 6.977, 8.830 Å; angles 90.00, 90.00, 90.00 degrees
Element x y z (fractional)
Li (0.186, 0.750, 0.250)
Li (0.314, 0.750, 0.750)
Li (0.814, 0.250, 0.750)
Li (0.686, 0.250, 0.250)
F (0.397, 0.567, 0.371)
F (0.567, 0.688, 0.899)
F (0.897, 0.433, 0.371)
F (0.433, 0.188, 0.399)
F (0.397, 0.933, 0.129)
F (0.103, 0.567, 0.629)
F (0.897, 0.067, 0.129)
F (0.103, 0.933, 0.871)
F (0.603, 0.067, 0.871)
F (0.567, 0.812, 0.601)
F (0.433, 0.312, 0.101)
F (0.603, 0.433, 0.629)
F (0.067, 0.188, 0.601)
F (0.067, 0.312, 0.899)
F (0.933, 0.688, 0.101)
F (0.933, 0.812, 0.399)
Mn (0.250, 0.370, 0.500)
Mn (0.750, 0.870, 0.000)
Mn (0.250, 0.130, 0.000)
Mn (0.750, 0.630, 0.500)

=====

[6]
An optimized crystal structure of Li3Co3OF7, computed with GGA+U.

## Properties
**V**: 315.7 Å³/cell
**E above lowest polymorph**: 0 meV per atom
**DFT formation energy**: -2.51 eV/atom
**E (MP2020)**: -0.423 Ry per atom

Cell lengths 6.099, 10.411, 6.098 Å; angles 106.96, 60.00, 106.98 degrees
Element x y z (fractional)
Co (0.436, 0.308, 0.924)
Co (0.893, 0.637, 0.893)
Co (0.924, 0.308, 0.436)
Co (0.393, 0.137, 0.393)
Co (0.936, 0.808, 0.424)
Co (0.424, 0.808, 0.936)
F (0.559, 0.693, 0.559)
F (0.800, 0.934, 0.332)
F (0.549, 0.693, 0.073)
F (0.816, 0.432, 0.817)
F (0.296, 0.424, 0.295)
F (0.795, 0.924, 0.795)
F (0.573, 0.193, 0.049)
F (0.316, 0.932, 0.316)
F (0.073, 0.693, 0.549)
F (0.300, 0.434, 0.832)
F (0.059, 0.194, 0.059)
F (0.832, 0.434, 0.300)
F (0.332, 0.933, 0.800)
F (0.049, 0.194, 0.573)
Li (0.676, 0.061, 0.676)
Li (0.942, 0.315, 0.942)
Li (0.499, 0.494, 0.499)
Li (0.176, 0.561, 0.176)
Li (0.999, 0.994, 0.999)
Li (0.442, 0.815, 0.442)
O (0.081, 0.699, 0.081)
O (0.581, 0.199, 0.581)

=====

[7]
An optimized crystal structure of BaMgMn2O5, computed with GGA+U.

## Properties
**V**: 114.2 Å³/cell
**E above lowest polymorph**: 0 meV per atom
**DFT formation energy**: -2.40 eV/atom
**E (MP2020)**: -0.557 Ry per atom

Cell lengths 3.896, 4.149, 7.330 Å; angles 90.00, 105.40, 90.00 degrees
Element x y z (fractional)
Mn (0.345, 0.500, 0.704)
Mn (0.635, 0.500, 0.284)
O (0.642, 0.000, 0.298)
O (0.183, 0.500, 0.379)
O (0.832, 0.500, 0.678)
O (0.339, 0.000, 0.693)
O (0.485, 0.500, 0.986)
Mg (0.202, 0.000, 0.419)
Ba (0.965, 0.000, 0.945)

=====

[8]
An optimized crystal structure of LiCoPO4, computed with GGA+U.

## Properties
**V**: 695.0 Å³/cell
**E above lowest polymorph**: 80 meV per atom
**DFT formation energy**: -2.33 eV/atom
**E (MP2020)**: -0.530 Ry per atom

Cell lengths 4.891, 7.698, 18.458 Å; angles 89.73, 90.00, 90.00 degrees
Element x y z (fractional)
O (0.951, 0.753, 0.063)
O (0.049, 0.247, 0.937)
O (0.117, 0.837, 0.632)
O (0.606, 0.177, 0.005)
O (0.617, 0.163, 0.868)
O (0.417, 0.223, 0.603)
O (0.435, 0.077, 0.723)
O (0.622, 0.449, 0.931)
O (0.935, 0.923, 0.777)
O (0.383, 0.837, 0.132)
O (0.917, 0.777, 0.897)
O (0.065, 0.077, 0.223)
O (0.894, 0.177, 0.505)
O (0.487, 0.259, 0.192)
O (0.106, 0.823, 0.495)
O (0.549, 0.753, 0.563)
O (0.513, 0.741, 0.808)
O (0.525, 0.603, 0.279)
O (0.378, 0.551, 0.069)
O (0.083, 0.223, 0.103)
O (0.394, 0.823, 0.995)
O (0.583, 0.777, 0.397)
O (0.987, 0.741, 0.308)
O (0.878, 0.449, 0.431)
O (0.883, 0.163, 0.368)
O (0.013, 0.259, 0.692)
O (0.475, 0.397, 0.721)
O (0.025, 0.397, 0.221)
O (0.565, 0.923, 0.277)
O (0.451, 0.247, 0.437)
O (0.975, 0.603, 0.779)
O (0.122, 0.551, 0.569)
Co (0.721, 0.671, 0.979)
Co (0.779, 0.671, 0.479)
Co (0.279, 0.329, 0.021)
Co (0.221, 0.329, 0.521)
Co (0.775, 0.158, 0.771)
Co (0.725, 0.158, 0.271)
Co (0.275, 0.842, 0.729)
Co (0.225, 0.842, 0.229)
Li (0.258, 0.972, 0.916)
Li (0.758, 0.028, 0.584)
Li (0.742, 0.028, 0.084)
Li (0.837, 0.491, 0.688)
Li (0.163, 0.509, 0.312)
Li (0.663, 0.491, 0.188)
Li (0.337, 0.509, 0.812)
Li (0.242, 0.972, 0.416)
P (0.829, 0.755, 0.817)
P (0.232, 0.741, 0.565)
P (0.329, 0.245, 0.683)
P (0.671, 0.755, 0.317)
P (0.268, 0.741, 0.065)
P (0.732, 0.259, 0.935)
P (0.768, 0.259, 0.435)
P (0.171, 0.245, 0.183)